1.
Na3Pt12O16 | the Materials Project database | PBE-GGA | optimized geometry; total energy after the MP2020 corrections = -750.4 eV/cell; DFT formation energy = -31.61 eV/f.u.; mass density = 11.7 g/cm3
1.0
5.738 0.000 0.000
0.000 5.742 0.000
0.000 0.000 46.124
Pt O Na
48 64 12
direct
0.500 0.244 0.250
0.500 0.244 0.374
0.000 0.500 0.782
0.500 0.751 0.625
0.755 0.000 0.063
0.245 0.000 0.312
0.251 0.000 0.813
0.000 0.500 0.405
0.500 0.756 0.125
0.000 0.500 0.970
0.500 0.244 0.125
0.000 0.500 0.531
0.752 0.000 0.436
0.749 0.000 0.813
0.251 0.000 0.562
0.000 0.500 0.156
0.248 0.000 0.939
0.755 0.000 0.188
0.500 0.249 0.625
0.000 0.500 0.719
0.500 0.756 0.250
0.500 0.249 0.876
0.000 0.500 0.031
0.000 0.500 0.280
0.500 0.756 0.001
0.000 0.500 0.907
0.749 0.000 0.562
0.000 0.500 0.593
0.500 0.751 0.499
0.248 0.000 0.436
0.749 0.000 0.688
0.500 0.249 0.750
0.500 0.249 0.499
0.000 0.500 0.468
0.245 0.000 0.188
0.752 0.000 0.939
0.000 0.500 0.219
0.755 0.000 0.312
0.245 0.000 0.063
0.000 0.500 0.095
0.500 0.751 0.876
0.500 0.756 0.374
0.000 0.500 0.844
0.500 0.751 0.750
0.500 0.244 0.001
0.000 0.500 0.656
0.000 0.500 0.344
0.251 0.000 0.688
0.744 0.256 0.218
0.750 0.249 0.782
0.250 0.751 0.593
0.256 0.744 0.033
0.250 0.750 0.719
0.743 0.743 0.282
0.248 0.753 0.468
0.744 0.744 0.342
0.259 0.741 0.969
0.744 0.256 0.342
0.743 0.257 0.282
0.256 0.256 0.342
0.257 0.257 0.093
0.256 0.744 0.342
0.744 0.744 0.218
0.750 0.750 0.719
0.248 0.247 0.907
0.749 0.750 0.531
0.248 0.753 0.907
0.259 0.741 0.406
0.256 0.256 0.033
0.251 0.750 0.844
0.752 0.753 0.907
0.750 0.751 0.782
0.744 0.256 0.033
0.744 0.744 0.033
0.257 0.743 0.093
0.256 0.256 0.157
0.257 0.743 0.282
0.744 0.256 0.157
0.752 0.753 0.468
0.250 0.250 0.719
0.749 0.750 0.844
0.741 0.259 0.406
0.749 0.250 0.531
0.749 0.250 0.844
0.259 0.259 0.969
0.750 0.249 0.593
0.256 0.256 0.218
0.743 0.257 0.093
0.251 0.250 0.844
0.251 0.250 0.531
0.251 0.750 0.531
0.259 0.259 0.406
0.750 0.751 0.593
0.741 0.741 0.406
0.744 0.744 0.157
0.250 0.750 0.656
0.250 0.250 0.656
0.248 0.247 0.468
0.257 0.257 0.282
0.752 0.247 0.468
0.741 0.741 0.969
0.250 0.249 0.593
0.256 0.744 0.157
0.250 0.249 0.782
0.256 0.744 0.218
0.250 0.751 0.782
0.750 0.250 0.656
0.750 0.750 0.656
0.752 0.247 0.907
0.750 0.250 0.719
0.741 0.259 0.969
0.743 0.743 0.093
0.500 0.500 0.813
0.500 0.500 0.437
0.500 0.500 0.312
0.500 0.500 0.562
0.000 0.000 0.750
0.500 0.500 0.188
0.500 0.500 0.063
0.000 0.000 0.876
0.000 0.000 0.499
0.500 0.500 0.688
0.500 0.500 0.938
0.000 0.000 0.625

---

2.
HfP2O7 | the Materials Project database | PBE-GGA | optimized geometry; total energy after the MP2020 corrections = -348.9 eV/cell; DFT formation energy = -31.81 eV/f.u.; mass density = 4.1 g/cm3
1.0
-8.627 -7.724 -6.042
3.906 -3.012 -1.728
3.202 -7.636 5.190
Hf O P
4 28 8
direct
0.150 0.625 0.658
0.650 0.375 0.842
0.350 0.625 0.158
0.850 0.375 0.342
0.749 0.691 0.833
0.321 0.472 0.395
0.107 0.754 0.425
0.427 0.154 0.635
0.751 0.691 0.333
0.893 0.246 0.575
0.029 0.321 0.737
0.249 0.309 0.667
0.573 0.846 0.365
0.945 0.058 0.346
0.771 0.072 0.917
0.055 0.942 0.654
0.445 0.942 0.154
0.229 0.928 0.083
0.529 0.679 0.763
0.971 0.679 0.263
0.073 0.154 0.135
0.679 0.528 0.605
0.251 0.309 0.167
0.729 0.072 0.417
0.555 0.058 0.846
0.607 0.246 0.075
0.927 0.846 0.865
0.393 0.754 0.925
0.271 0.928 0.583
0.179 0.472 0.895
0.471 0.321 0.237
0.821 0.528 0.105
0.689 0.785 0.432
0.311 0.215 0.568
0.811 0.785 0.932
0.978 0.102 0.700
0.189 0.215 0.068
0.478 0.898 0.800
0.522 0.102 0.200
0.022 0.898 0.300

---

3.
URh2O6 | the Materials Project database | PBE-GGA | optimized geometry; total energy after the MP2020 corrections = -151.7 eV/cell; DFT formation energy = -20.14 eV/f.u.; mass density = 8.2 g/cm3
1.0
-4.575 1.027 -1.135
-1.343 -0.977 4.529
1.438 9.023 2.373
U Rh O
2 4 12
direct
0.000 0.000 0.000
0.500 0.500 0.500
0.000 0.000 0.670
0.500 0.500 0.830
0.500 0.500 0.170
0.000 0.000 0.330
0.312 0.312 0.000
0.701 0.701 0.333
0.201 0.799 0.167
0.299 0.299 0.667
0.701 0.701 0.667
0.799 0.201 0.167
0.812 0.188 0.500
0.799 0.201 0.833
0.201 0.799 0.833
0.299 0.299 0.333
0.688 0.688 0.000
0.188 0.812 0.500

---

4.
Na3MgZrP3O12 | the Materials Project database | PBE-GGA | optimized geometry; total energy after the MP2020 corrections = -593.5 eV/cell; DFT formation energy = -58.64 eV/f.u.; mass density = 3.0 g/cm3
1.0
-14.873 4.211 2.627
-2.298 -8.693 0.924
6.260 -0.975 6.396
P Zr Na O Mg
12 4 12 48 4
direct
0.506 0.549 0.265
0.006 0.951 0.765
0.852 0.396 0.763
0.352 0.104 0.263
0.643 0.106 0.244
0.143 0.394 0.744
0.143 0.606 0.244
0.852 0.604 0.263
0.506 0.451 0.765
0.352 0.896 0.763
0.643 0.894 0.744
0.006 0.049 0.265
0.394 0.258 0.942
0.394 0.742 0.442
0.894 0.758 0.942
0.894 0.242 0.442
0.002 0.384 0.244
0.754 0.219 0.986
0.686 0.555 0.784
0.254 0.719 0.986
0.754 0.781 0.486
0.502 0.884 0.244
0.186 0.055 0.784
0.254 0.281 0.486
0.186 0.945 0.284
0.502 0.116 0.744
0.686 0.445 0.284
0.002 0.616 0.744
0.068 0.041 0.937
0.640 0.842 0.901
0.919 0.852 0.752
0.568 0.541 0.937
0.919 0.148 0.252
0.954 0.655 0.432
0.078 0.848 0.748
0.235 0.318 0.750
0.140 0.658 0.401
0.350 0.144 0.089
0.946 0.943 0.097
0.946 0.057 0.597
0.446 0.557 0.597
0.649 0.063 0.739
0.542 0.836 0.564
0.649 0.937 0.239
0.149 0.563 0.739
0.446 0.443 0.097
0.757 0.337 0.749
0.735 0.818 0.750
0.345 0.929 0.257
0.350 0.856 0.589
0.419 0.648 0.252
0.042 0.336 0.564
0.345 0.071 0.757
0.149 0.437 0.239
0.042 0.664 0.064
0.845 0.429 0.257
0.140 0.342 0.901
0.735 0.182 0.250
0.578 0.348 0.748
0.257 0.163 0.249
0.419 0.352 0.752
0.757 0.663 0.249
0.640 0.158 0.401
0.954 0.345 0.932
0.542 0.164 0.064
0.454 0.845 0.932
0.578 0.652 0.248
0.850 0.644 0.089
0.257 0.837 0.749
0.078 0.152 0.248
0.068 0.959 0.437
0.568 0.459 0.437
0.235 0.682 0.250
0.454 0.155 0.432
0.845 0.571 0.757
0.850 0.356 0.589
0.101 0.750 0.557
0.601 0.250 0.557
0.601 0.750 0.057
0.101 0.250 0.057

---

5.
MgCr4Cu2S8 | the Materials Project database | PBE-GGA | optimized geometry; total energy after the MP2020 corrections = -95.7 eV/cell; DFT formation energy = -14.15 eV/f.u.; mass density = 4.0 g/cm3
1.0
-5.491 -4.634 0.617
0.875 -6.587 2.807
-2.758 -1.804 6.417
Cr S Mg Cu
4 8 1 2
direct
0.500 0.500 0.000
0.000 0.500 0.500
0.500 0.000 0.500
0.500 0.500 0.500
0.272 0.742 0.742
0.258 0.727 0.258
0.258 0.258 0.728
0.264 0.264 0.264
0.728 0.258 0.258
0.736 0.736 0.736
0.742 0.742 0.272
0.742 0.273 0.742
0.000 0.000 0.000
0.141 0.140 0.142
0.859 0.859 0.859

---

6.
SnTe2O4 | the Materials Project database | PBE-GGA | optimized geometry; total energy after the MP2020 corrections = -36.1 eV/cell; DFT formation energy = -6.01 eV/f.u.; mass density = 6.4 g/cm3
1.0
-3.801 -1.643 -0.761
0.401 -2.489 3.373
-0.999 6.608 2.366
O Te Sn
4 2 1
direct
0.500 0.000 0.000
0.000 0.500 0.000
0.191 0.191 0.383
0.809 0.809 0.617
0.659 0.659 0.317
0.341 0.341 0.683
0.000 0.000 0.000

---

7.
Na2H20CO13 | the Materials Project database | PBE-GGA | optimized geometry; total energy after the MP2020 corrections = -388.9 eV/cell; DFT formation energy = -50.40 eV/f.u.; mass density = 1.5 g/cm3
1.0
4.453 6.392 0.000
-4.453 6.392 0.000
0.000 5.499 11.343
O H Na C
26 40 4 2
direct
0.610 0.731 0.176
0.649 0.558 0.494
0.950 0.484 0.918
0.184 0.940 0.047
0.536 0.456 0.392
0.269 0.899 0.787
0.322 0.055 0.176
0.096 0.732 0.712
0.456 0.536 0.892
0.810 0.069 0.952
0.055 0.322 0.676
0.387 0.286 0.809
0.286 0.387 0.309
0.525 0.054 0.586
0.731 0.610 0.676
0.493 0.360 0.072
0.054 0.525 0.086
0.732 0.096 0.212
0.899 0.269 0.287
0.953 0.675 0.323
0.069 0.810 0.452
0.940 0.184 0.547
0.558 0.649 0.994
0.360 0.493 0.572
0.484 0.950 0.418
0.675 0.953 0.823
0.015 0.512 0.022
0.484 0.193 0.563
0.776 0.342 0.328
0.664 0.205 0.160
0.388 0.367 0.727
0.205 0.664 0.660
0.149 0.808 0.736
0.812 0.543 0.940
0.634 0.588 0.753
0.701 0.168 0.979
0.512 0.015 0.522
0.597 0.682 0.117
0.568 0.068 0.812
0.543 0.812 0.440
0.023 0.769 0.402
0.570 0.004 0.341
0.808 0.149 0.236
0.846 0.619 0.379
0.068 0.568 0.312
0.619 0.846 0.879
0.303 0.850 0.020
0.938 0.430 0.680
0.004 0.570 0.841
0.168 0.701 0.479
0.993 0.214 0.598
0.342 0.776 0.828
0.163 0.380 0.629
0.850 0.303 0.520
0.769 0.023 0.902
0.957 0.363 0.217
0.405 0.364 0.849
0.588 0.634 0.253
0.214 0.993 0.098
0.363 0.957 0.717
0.364 0.405 0.349
0.682 0.597 0.617
0.380 0.163 0.129
0.193 0.484 0.063
0.430 0.938 0.180
0.367 0.388 0.227
0.898 0.834 0.128
0.167 0.097 0.374
0.097 0.167 0.874
0.834 0.898 0.628
0.515 0.503 0.486
0.503 0.515 0.986

---

8.
CoNiAs2S2 | the Materials Project database | PBE-GGA | optimized geometry; total energy after the MP2020 corrections = -67.4 eV/cell; DFT formation energy = -3.22 eV/f.u.; mass density = 6.2 g/cm3
1.0
5.633 0.000 0.000
0.000 5.623 0.000
0.000 0.015 5.629
As Co S Ni
4 2 4 2
direct
0.876 0.616 0.874
0.619 0.126 0.631
0.119 0.874 0.369
0.376 0.384 0.126
0.492 0.506 0.742
0.992 0.494 0.258
0.885 0.122 0.136
0.620 0.612 0.370
0.120 0.388 0.630
0.385 0.878 0.864
0.008 0.008 0.758
0.508 0.992 0.242

---

- Among the records above, which one has the highest mass density?
  Na3Pt12O16

---

Please write out number 8 again, unchanged.
CoNiAs2S2 | the Materials Project database | PBE-GGA | optimized geometry; total energy after the MP2020 corrections = -67.4 eV/cell; DFT formation energy = -3.22 eV/f.u.; mass density = 6.2 g/cm3
1.0
5.633 0.000 0.000
0.000 5.623 0.000
0.000 0.015 5.629
As Co S Ni
4 2 4 2
direct
0.876 0.616 0.874
0.619 0.126 0.631
0.119 0.874 0.369
0.376 0.384 0.126
0.492 0.506 0.742
0.992 0.494 0.258
0.885 0.122 0.136
0.620 0.612 0.370
0.120 0.388 0.630
0.385 0.878 0.864
0.008 0.008 0.758
0.508 0.992 0.242

---

- Which of these has the highest DFT formation energy?
  CoNiAs2S2

---

- Among the records above, which one has the lowest mass density?
  Na2H20CO13